[1]
The following is a DFT calculation (GGA-PBE) of a relaxed structure of In2AsSe.

Values from the calculation:
ΔE_f: -0.358 eV per atom
Total moment: 0.00 μB per formula unit
Polymorph energy (0 for the lowest one): 0 meV per atom
Calculated density: 4.861 g/cm3

The structure in POSCAR format:
```
In2AsSe
1.0
-2.7520 0.2697 3.6175
-0.0883 -4.5443 0.2717
5.0330 0.1305 3.8190
In As Se
2 1 1
direct
0.5000 0.0000 0.7595
0.0000 0.5000 0.2405
0.5000 0.5000 0.0000
0.0000 0.0000 0.5000
```



[2]
The following is a DFT calculation (GGA-PBE) of a relaxed structure of In2AsSe.

Values from the calculation:
ΔE_f: -0.356 eV per atom
Total moment: 0.00 μB per formula unit
Polymorph energy (0 for the lowest one): 2 meV per atom
Calculated density: 4.828 g/cm3

The structure in POSCAR format:
```
In2AsSe
1.0
-3.2004 3.2004 6.4388
3.2004 -3.2004 6.4388
3.2004 3.2004 -6.4388
In As Se
4 2 2
direct
0.3750 0.3642 0.4892
0.8750 0.8858 0.5108
0.1142 0.6250 0.9892
0.6358 0.1250 0.0108
0.7500 0.2500 0.5000
0.0000 0.0000 0.0000
0.2500 0.7500 0.5000
0.5000 0.5000 0.0000
```



[3]
The following is a DFT calculation (GGA-PBE) of a relaxed structure of ZnIn3AsSe4.

Values from the calculation:
ΔE_f: -0.719 eV per atom
Total moment: 0.00 μB per formula unit
Calculated density: 5.013 g/cm3

The structure in POSCAR format:
```
ZnIn3AsSe4
1.0
5.9761 0.0000 0.0000
2.9796 6.6363 0.0000
2.9751 0.0454 6.6865
Zn In As Se
1 3 1 4
direct
0.9872 0.0035 0.9984
0.3967 0.3955 0.8080
0.6120 0.6029 0.1934
0.8029 0.8005 0.6014
0.4262 0.7163 0.9040
0.6462 0.9181 0.2960
0.8699 0.1042 0.6951
0.0520 0.2789 0.1129
0.2570 0.4801 0.4908
```



[4]
The following is a DFT calculation (GGA-PBE) of a relaxed structure of ZnInSnAs3.

Values from the calculation:
ΔE_f: -0.193 eV per atom
Total moment: 0.00 μB per formula unit
Calculated density: 5.286 g/cm3

The structure in POSCAR format:
```
ZnInSnAs3
1.0
-3.0151 -3.0151 0.0000
0.0002 -0.0002 -6.0188
3.0251 -6.0402 3.0092
Zn In Sn As
1 1 1 3
direct
0.9991 0.9901 0.0017
0.3367 0.6650 0.3267
0.6644 0.3458 0.6712
0.5003 0.7757 0.9993
0.8418 0.3933 0.3164
0.1576 0.0802 0.6847
```



[5]
The following is a DFT calculation (GGA-PBE) of a relaxed structure of SrIn2As2.

Values from the calculation:
ΔE_f: -0.606 eV per atom
Calculated density: 5.243 g/cm3

The structure in POSCAR format:
```
SrIn2As2
1.0
3.8056 -0.6517 1.9473
-3.1163 -2.9838 0.2903
6.3426 -8.0941 -15.1042
Sr In As
2 4 4
direct
0.0000 0.0000 0.0000
0.0000 0.0000 0.5000
0.6667 0.3333 0.8275
0.3333 0.6667 0.1725
0.3333 0.6667 0.3275
0.6667 0.3333 0.6725
0.6667 0.3333 0.3917
0.3333 0.6667 0.6083
0.3333 0.6667 0.8917
0.6667 0.3333 0.1083
```



[6]
The following is a DFT calculation (GGA-PBE) of a relaxed structure of In2TeAs.

Values from the calculation:
ΔE_f: -0.142 eV per atom
Total moment: 0.00 μB per formula unit
Polymorph energy (0 for the lowest one): 0 meV per atom
Calculated density: 4.932 g/cm3

The structure in POSCAR format:
```
In2TeAs
1.0
-3.2630 -1.2538 -3.1435
3.0585 -2.9619 -1.9934
-2.0290 -4.8016 4.0213
In Te As
2 1 1
direct
0.5000 0.0000 0.7812
0.0000 0.5000 0.2188
0.0000 0.0000 0.5000
0.5000 0.5000 0.0000
```



[7]
The following is a DFT calculation (GGA-PBE) of a relaxed structure of In2TeAs.

Values from the calculation:
ΔE_f: -0.138 eV per atom
Total moment: 0.00 μB per formula unit
Polymorph energy (0 for the lowest one): 4 meV per atom
Calculated density: 4.949 g/cm3

The structure in POSCAR format:
```
In2TeAs
1.0
7.8324 -2.3290 0.0000
7.8324 2.3290 0.0000
7.1399 0.0000 3.9741
In Te As
2 1 1
direct
0.9897 0.9897 0.9897
0.5103 0.5103 0.5103
0.3772 0.3772 0.3772
0.8728 0.8728 0.8728
```



[8]
The following is a DFT calculation (GGA-PBE) of a relaxed structure of As3Ir.

Values from the calculation:
ΔE_f: -0.429 eV per atom
Calculated density: 8.721 g/cm3

The structure in POSCAR format:
```
As3Ir
1.0
-4.2980 4.2980 4.2980
4.2980 -4.2980 4.2980
4.2980 4.2980 -4.2980
As Ir
12 4
direct
0.8542 0.2020 0.3479
0.6521 0.1458 0.7980
0.5063 0.6521 0.8542
0.6521 0.8542 0.5063
0.4937 0.3479 0.1458
0.3479 0.8542 0.2020
0.2020 0.3479 0.8542
0.7980 0.6521 0.1458
0.3479 0.1458 0.4937
0.8542 0.5063 0.6521
0.1458 0.4937 0.3479
0.1458 0.7980 0.6521
0.0000 0.0000 0.5000
0.0000 0.5000 0.0000
0.5000 0.5000 0.5000
0.5000 0.0000 0.0000
```



[9]
The following is a DFT calculation (GGA-PBE) of a relaxed structure of As2Ir.

Values from the calculation:
ΔE_f: -0.483 eV per atom
Calculated density: 10.454 g/cm3

The structure in POSCAR format:
```
As2Ir
1.0
-4.9794 0.1719 3.6086
2.3081 -4.5650 3.4023
3.5139 2.0288 4.7521
As Ir
8 4
direct
0.1269 0.8460 0.8749
0.6269 0.1540 0.6251
0.8731 0.1540 0.1251
0.3731 0.8460 0.3749
0.6297 0.6615 0.1845
0.1297 0.3385 0.3155
0.3703 0.3385 0.8155
0.8703 0.6615 0.6845
0.5000 0.7276 0.7921
0.0000 0.2724 0.7079
0.5000 0.2724 0.2079
0.0000 0.7276 0.2921
```



[10]
The following is a DFT calculation (GGA-PBE) of a relaxed structure of LaAsIr.

Values from the calculation:
ΔE_f: -1.044 eV per atom
Calculated density: 10.013 g/cm3

The structure in POSCAR format:
```
LaAsIr
1.0
-1.7020 -0.7334 3.8148
-0.7064 -4.0370 -1.0913
7.9480 0.4903 1.2827
La As Ir
2 2 2
direct
0.2497 0.7497 0.4995
0.9997 0.9997 0.9995
0.8270 0.3270 0.6539
0.5770 0.5770 0.1539
0.6613 0.1613 0.3226
0.4113 0.4113 0.8226
```



[11]
The following is a DFT calculation (GGA-PBE) of a relaxed structure of LaAs2Ir2.

Values from the calculation:
ΔE_f: -0.812 eV per atom
Calculated density: 11.732 g/cm3

The structure in POSCAR format:
```
LaAs2Ir2
1.0
-2.6342 0.6035 -3.3865
2.8736 -1.9585 -2.5842
-4.4300 -8.9438 1.8522
La As Ir
2 4 4
direct
0.0000 0.5000 0.2453
0.5000 0.0000 0.7547
0.0000 0.0000 0.0000
0.5000 0.5000 0.0000
0.0000 0.5000 0.6383
0.5000 0.0000 0.3617
0.0000 0.0000 0.5000
0.5000 0.5000 0.5000
0.0000 0.5000 0.8812
0.5000 0.0000 0.1188
```



[12]
The following is a DFT calculation (GGA-PBE) of a relaxed structure of Sr2As3Ir3.

Values from the calculation:
ΔE_f: 1.742 eV per atom
Total moment: 2.00 μB per formula unit
Calculated density: 2.240 g/cm3

The structure in POSCAR format:
```
Sr2As3Ir3
1.0
5.9244 0.0000 0.0000
0.0000 5.9244 0.0000
0.0000 0.0000 20.6253
Sr As Ir
2 3 3
direct
0.5000 0.5000 0.7504
0.5000 0.5000 0.2496
0.5000 0.5000 0.3908
0.5000 0.5000 0.6092
0.5000 0.5000 0.0000
0.5000 0.5000 0.1079
0.5000 0.5000 0.8921
0.5000 0.5000 0.5000
```



[13]
The following is a DFT calculation (GGA-PBE) of a relaxed structure of K5As4.

Values from the calculation:
ΔE_f: -0.437 eV per atom
Calculated density: 2.733 g/cm3

The structure in POSCAR format:
```
K5As4
1.0
2.6148 5.9245 0.0000
-2.6148 5.9245 0.0000
0.0000 4.0378 9.7096
K As
5 4
direct
0.3928 0.3928 0.8971
0.6073 0.6073 0.0983
0.7490 0.7490 0.6676
0.2591 0.2591 0.3306
0.5174 0.5174 0.4890
0.0952 0.0952 0.8923
0.9039 0.9039 0.1069
0.0423 0.0423 0.6893
0.9566 0.9566 0.3109
```



[14]
The following is a DFT calculation (GGA-PBE) of a relaxed structure of K5As4.

Values from the calculation:
ΔE_f: -0.383 eV per atom
Calculated density: 2.502 g/cm3

The structure in POSCAR format:
```
K5As4
1.0
-4.7572 -4.1924 -1.3104
2.2622 -1.5820 -5.9350
5.1241 -6.6333 0.2854
K As
5 4
direct
0.7228 0.2047 0.9880
0.8547 0.5120 0.2794
0.5000 0.0000 0.5000
0.1453 0.4880 0.7206
0.2772 0.7953 0.0120
0.9800 0.0477 0.6295
0.2259 0.2241 0.1462
0.7741 0.7759 0.8538
0.0200 0.9523 0.3705
```



[15]
The following is a DFT calculation (GGA-PBE) of a relaxed structure of K3LaAs2O8.

Values from the calculation:
ΔE_f: -2.419 eV per atom
Total moment: 0.00 μB per formula unit
Calculated density: 3.861 g/cm3

The structure in POSCAR format:
```
K3LaAs2O8
1.0
5.9273 0.0000 0.0000
0.0000 7.6888 0.0000
0.0000 0.2910 10.0782
K La As O
6 2 4 16
direct
0.5092 0.0107 0.8088
0.0092 0.9893 0.1912
0.5112 0.8596 0.4042
0.0112 0.1404 0.5958
0.4975 0.3153 0.0825
0.9975 0.6847 0.9175
0.9920 0.4903 0.2925
0.4920 0.5097 0.7075
0.9980 0.2531 0.9156
0.4980 0.7469 0.0844
0.5185 0.2982 0.4267
0.0185 0.7018 0.5733
0.4866 0.9668 0.0979
0.9866 0.0332 0.9021
0.0719 0.4836 0.5557
0.5719 0.5164 0.4443
0.9984 0.7880 0.4140
0.4984 0.2120 0.5860
0.7766 0.7472 0.6618
0.2766 0.2528 0.3382
0.2515 0.7826 0.6543
0.7515 0.2174 0.3457
0.7449 0.6672 0.1556
0.2449 0.3328 0.8444
0.2718 0.6520 0.1685
0.7718 0.3480 0.8315
0.4904 0.6807 0.9219
0.9904 0.3193 0.0781
```



[16]
The following is a DFT calculation (GGA-PBE) of a relaxed structure of K2LiTi2As2O10.

Values from the calculation:
ΔE_f: -2.466 eV per atom
Total moment: 1.03 μB per formula unit
Calculated density: 3.297 g/cm3

The structure in POSCAR format:
```
K2LiTi2As2O10
1.0
-4.8830 3.5660 3.0139
-7.1607 -8.2089 -1.8889
3.1908 -5.4592 11.6287
K Li Ti As O
8 4 8 8 40
direct
0.6165 0.0847 0.0971
0.2824 0.7884 0.1377
0.7824 0.2884 0.3623
0.1165 0.5847 0.4029
0.8835 0.0847 0.5971
0.2176 0.7884 0.6377
0.7176 0.2884 0.8623
0.3835 0.5847 0.9029
0.0405 0.0313 0.1028
0.5405 0.5313 0.3972
0.4595 0.0313 0.6028
0.9595 0.5313 0.8972
0.0066 0.5164 0.1335
0.2594 0.2674 0.2484
0.7594 0.7674 0.2516
0.5066 0.0164 0.3665
0.4934 0.5164 0.6335
0.2406 0.2674 0.7484
0.7406 0.7674 0.7516
0.9934 0.0164 0.8665
0.8338 0.7722 0.0020
0.5152 0.5142 0.1814
0.0152 0.0142 0.3186
0.3338 0.2722 0.4980
0.6662 0.7722 0.5020
0.9848 0.5142 0.6814
0.4848 0.0142 0.8186
0.1662 0.2722 0.9980
0.0314 0.4055 0.9972
0.9976 0.6521 0.0034
0.3257 0.2543 0.0991
0.7115 0.4876 0.1015
0.6756 0.7784 0.1042
0.3113 0.5499 0.1081
0.0610 0.3939 0.2209
0.9596 0.6442 0.2186
0.0518 0.1300 0.2299
0.9761 0.8979 0.2326
0.4761 0.3979 0.2674
0.5518 0.6300 0.2701
0.4596 0.1442 0.2814
0.5610 0.8939 0.2791
0.8113 0.0499 0.3919
0.1756 0.2784 0.3958
0.2115 0.9876 0.3985
0.8257 0.7543 0.4009
0.4976 0.1521 0.4966
0.5314 0.9055 0.5028
0.4686 0.4055 0.4972
0.5024 0.6521 0.5034
0.1743 0.2543 0.5991
0.7885 0.4876 0.6015
0.8244 0.7784 0.6042
0.1887 0.5499 0.6081
0.4390 0.3939 0.7209
0.5404 0.6442 0.7186
0.4482 0.1300 0.7299
0.5239 0.8979 0.7326
0.0239 0.3979 0.7674
0.9482 0.6300 0.7701
0.0404 0.1442 0.7814
0.9390 0.8939 0.7791
0.6887 0.0499 0.8919
0.3244 0.2784 0.8958
0.2885 0.9876 0.8985
0.6743 0.7543 0.9009
0.0024 0.1521 0.9966
0.9686 0.9055 0.0028
```



[17]
The following is a DFT calculation (GGA-PBE) of a relaxed structure of KMgAs.

Values from the calculation:
ΔE_f: -0.682 eV per atom
Calculated density: 2.790 g/cm3

The structure in POSCAR format:
```
KMgAs
1.0
4.5861 0.0000 0.0000
0.0000 4.5861 0.0000
0.0000 0.0000 7.8288
K Mg As
2 2 2
direct
0.0000 0.5000 0.3551
0.5000 0.0000 0.6449
0.0000 0.0000 0.0000
0.5000 0.5000 0.0000
0.0000 0.5000 0.8074
0.5000 0.0000 0.1926
```



[18]
The following is a DFT calculation (GGA-PBE) of a relaxed structure of K2MgAs2.

Values from the calculation:
ΔE_f: 0.333 eV per atom
Total moment: 0.00 μB per formula unit
Calculated density: 2.171 g/cm3

The structure in POSCAR format:
```
K2MgAs2
1.0
3.5328 0.0000 0.0000
0.0000 3.5328 0.0000
0.0000 0.0000 15.4679
K Mg As
2 1 2
direct
0.5000 0.5000 0.6425
0.5000 0.5000 0.3575
0.5000 0.5000 0.0000
0.5000 0.5000 0.1605
0.5000 0.5000 0.8395
```



[19]
The following is a DFT calculation (GGA-PBE) of a relaxed structure of KMg2As2O12.

Values from the calculation:
ΔE_f: -1.307 eV per atom
Total moment: 2.78 μB per formula unit
Calculated density: 2.644 g/cm3

The structure in POSCAR format:
```
KMg2As2O12
1.0
0.3295 0.0000 -6.4970
-6.7440 -6.2800 2.6072
-6.7440 6.2800 2.6072
K Mg As O
2 4 4 24
direct
0.2500 0.0642 0.9358
0.7500 0.9358 0.0642
0.1212 0.3741 0.0546
0.3788 0.9454 0.6259
0.8788 0.6259 0.9454
0.6212 0.0546 0.3741
0.3869 0.6500 0.8722
0.1131 0.1278 0.3500
0.6131 0.3500 0.1278
0.8869 0.8722 0.6500
0.6060 0.1694 0.1831
0.8940 0.8169 0.8306
0.3940 0.8306 0.8169
0.1060 0.1831 0.1694
0.2542 0.5274 0.3904
0.2458 0.6096 0.4726
0.7458 0.4726 0.6096
0.7542 0.3904 0.5274
0.3682 0.3445 0.9879
0.1318 0.0121 0.6555
0.6318 0.6555 0.0121
0.8682 0.9879 0.3445
0.8371 0.4211 0.0498
0.6629 0.9502 0.5789
0.1629 0.5789 0.9502
0.3371 0.0498 0.4211
0.8550 0.2029 0.8393
0.6450 0.1607 0.7971
0.1450 0.7971 0.1607
0.3550 0.8393 0.2029
0.1294 0.2660 0.4523
0.3706 0.5477 0.7340
0.8706 0.7340 0.5477
0.6294 0.4523 0.2660
```